{"formula": "NdPIr", "functional": "PBE", "state": "relaxed", "vol_a3_per_atom": 20.13, "e_tot_ev_per_atom": -7.49, "cell": [[-1.2983, 3.8873, -0.3557], [0.0685, -0.3521, -4.0981], [-6.1565, -4.0218, 2.3073]], "species": ["Nd", "Ir", "Nd", "Ir", "P", "P"], "fractional_positions": [[0.7512, 0.7512, 0.5024], [0.1623, 0.1623, 0.3245], [0.0012, 0.5012, 0.0024], [0.4123, 0.9123, 0.8245], [0.3293, 0.3293, 0.6585], [0.5793, 0.0793, 0.1585]]}